Record 1
Entry from Materials Project: a relaxed Ta2PbO6 crystal (GGA-PBE).

Summary:
Energy relative to the lowest polymorph listed for this composition ... 0 meV per atom

abc: 5.744 7.736 11.195
angles: 90.00 90.00 90.00
Fractional coordinates of all 36 atoms:
O 0.354 0.046 0.217
Ta 0.962 0.497 0.857
O 0.646 0.954 0.783
Ta 0.538 0.003 0.357
O 0.286 0.034 0.477
Pb 0.960 0.250 0.538
O 0.365 0.750 0.631
Ta 0.462 0.997 0.643
Ta 0.038 0.997 0.143
Pb 0.040 0.750 0.462
Ta 0.038 0.503 0.143
O 0.026 0.750 0.854
O 0.714 0.966 0.523
O 0.786 0.534 0.023
O 0.974 0.250 0.146
O 0.214 0.034 0.977
O 0.146 0.046 0.717
O 0.526 0.250 0.646
Pb 0.540 0.250 0.038
O 0.354 0.454 0.217
Ta 0.538 0.497 0.357
O 0.635 0.250 0.369
O 0.646 0.546 0.783
O 0.286 0.466 0.477
Pb 0.460 0.750 0.962
O 0.474 0.750 0.354
O 0.854 0.546 0.283
O 0.854 0.954 0.283
Ta 0.962 0.003 0.857
O 0.135 0.750 0.131
O 0.146 0.454 0.717
O 0.714 0.534 0.523
O 0.786 0.966 0.023
O 0.214 0.466 0.977
Ta 0.462 0.503 0.643
O 0.865 0.250 0.869

=====

Record 2
Entry from Materials Project: a relaxed Ta2PbO6 crystal (GGA-PBE).

Summary:
Energy relative to the lowest polymorph listed for this composition ... 31 meV per atom

abc: 5.274 6.133 15.900
angles: 90.00 90.00 90.00
Fractional coordinates of all 36 atoms:
O 0.965 0.075 0.614
O 0.592 0.643 0.755
Pb 0.750 0.295 0.500
O 0.408 0.357 0.245
O 0.867 0.125 0.907
O 0.092 0.357 0.755
O 0.908 0.643 0.245
O 0.535 0.575 0.114
Ta 0.271 0.675 0.829
O 0.633 0.625 0.407
Ta 0.229 0.675 0.171
Ta 0.729 0.825 0.329
Ta 0.271 0.175 0.671
O 0.133 0.375 0.407
Ta 0.729 0.325 0.171
O 0.367 0.875 0.907
Ta 0.771 0.325 0.829
O 0.908 0.143 0.255
Pb 0.750 0.795 0.000
O 0.465 0.425 0.886
Pb 0.250 0.705 0.500
O 0.633 0.125 0.093
O 0.867 0.625 0.593
O 0.035 0.925 0.386
O 0.367 0.375 0.593
O 0.465 0.925 0.614
O 0.408 0.857 0.255
O 0.965 0.575 0.886
O 0.092 0.857 0.745
O 0.133 0.875 0.093
O 0.535 0.075 0.386
Pb 0.250 0.205 0.000
Ta 0.771 0.825 0.671
Ta 0.229 0.175 0.329
O 0.035 0.425 0.114
O 0.592 0.143 0.745

=====

Record 3
Entry from Materials Project: a relaxed Ta8Pb6O25 crystal (GGA-PBE).

abc: 7.551 7.551 10.618
angles: 89.93 89.93 90.28
Fractional coordinates of all 39 atoms:
O 0.502 0.498 0.694
Ta 0.751 0.507 0.623
O 0.688 0.188 0.251
O 0.000 0.490 0.565
Ta 0.004 0.752 0.873
O 0.812 0.312 0.749
O 0.502 0.498 0.306
Ta 0.496 0.752 0.377
O 0.992 0.000 0.816
O 0.683 0.690 0.504
O 0.313 0.187 0.249
O 0.320 0.680 0.500
Ta 0.493 0.249 0.377
Pb 0.769 0.009 0.608
O 0.808 0.192 0.000
O 0.510 0.000 0.435
Pb 0.750 0.500 0.133
Ta 0.750 0.998 0.126
O 0.000 0.008 0.184
O 0.191 0.190 0.000
Ta 0.248 0.504 0.623
O 0.500 0.500 0.000
O 0.190 0.810 0.000
O 0.315 0.811 0.248
Ta 0.248 0.996 0.127
O 0.192 0.317 0.755
O 0.189 0.685 0.752
Ta 0.002 0.250 0.874
O 0.684 0.316 0.500
O 0.310 0.317 0.496
Pb 0.249 0.505 0.132
Pb 0.991 0.231 0.392
Pb 0.500 0.250 0.867
O 0.813 0.687 0.751
O 0.683 0.808 0.245
O 0.810 0.809 0.000
O 0.499 0.002 0.057
O 0.998 0.501 0.943
Pb 0.495 0.751 0.868

=====

Record 4
Entry from Materials Project: a relaxed Ta6Pb4O19 crystal (GGA-PBE).

Summary:
Energy relative to the lowest polymorph listed for this composition ... 26 meV per atom

abc: 7.535 7.535 18.448
angles: 89.60 89.60 59.80
Fractional coordinates of all 58 atoms:
O 0.798 0.409 0.981
O 0.539 0.539 0.351
O 0.873 0.254 0.438
O 0.873 0.253 0.684
Ta 0.500 0.500 0.000
O 0.873 0.873 0.440
Ta 0.833 0.833 0.328
O 0.127 0.127 0.560
O 0.127 0.127 0.308
Ta 0.335 0.335 0.836
Ta 0.834 0.333 0.331
O 0.921 0.535 0.104
O 0.787 0.787 0.231
O 0.746 0.127 0.562
O 0.411 0.806 0.228
O 0.127 0.746 0.562
O 0.917 0.539 0.355
Ta 0.000 0.000 0.500
Pb 0.658 0.658 0.676
O 0.204 0.204 0.024
O 0.079 0.465 0.896
Ta 0.667 0.166 0.669
O 0.409 0.798 0.981
Ta 0.500 0.000 0.000
O 0.461 0.083 0.645
O 0.083 0.461 0.645
Pb 0.500 0.500 0.500
Ta 0.333 0.834 0.331
O 0.202 0.591 0.019
Pb 0.826 0.826 0.829
O 0.254 0.873 0.438
O 0.591 0.202 0.019
O 0.545 0.545 0.103
O 0.539 0.917 0.355
O 0.253 0.873 0.684
O 0.535 0.921 0.104
O 0.461 0.461 0.649
O 0.194 0.589 0.772
O 0.335 0.335 0.440
Ta 0.167 0.167 0.672
Pb 0.174 0.174 0.171
O 0.127 0.747 0.316
O 0.873 0.873 0.692
O 0.665 0.665 0.560
Ta 0.000 0.500 0.000
Pb 0.500 0.000 0.500
Ta 0.665 0.665 0.164
Pb 0.000 0.000 0.000
O 0.213 0.213 0.769
O 0.796 0.796 0.976
O 0.806 0.411 0.228
O 0.747 0.127 0.316
Pb 0.342 0.342 0.324
O 0.455 0.455 0.897
O 0.589 0.194 0.772
O 0.465 0.079 0.896
Ta 0.166 0.667 0.669
Pb 0.000 0.500 0.500

=====

So what do the calculations give for formation enthalpy at 0 K? Going down the list: -3001 -2970 -2853 -2871 meV per atom.
So what do the calculations give for E? Going down the list: -320.01 -318.88 -334.92 -500.40 eV/cell.